Entry 1:
A relaxed Li2Fe3SbO8 crystal, computed with PBE with a Hubbard U.

Lattice parameters (Å, degrees): 6.0064 6.0064 9.7789 90.00 90.00 120.00
Last column: nearest neighbours and their distance in Å.
Atoms (fractional coordinates):
Li (0.3333, 0.6667, 0.9028)  4 O 2.00
Li (0.0000, 0.0000, 0.9886)  4 O 1.82-2.03
Li (0.0000, 0.0000, 0.4886)  4 O 1.82-2.03
Li (0.6667, 0.3333, 0.4028)  4 O 2.00
Fe (0.1703, 0.8297, 0.2132)  6 O 1.97-2.10
Fe (0.1703, 0.3405, 0.2132)  6 O 1.97-2.10
Fe (0.6595, 0.8297, 0.2132)  6 O 1.97-2.10
Fe (0.3405, 0.1703, 0.7132)  6 O 1.97-2.10
Fe (0.8297, 0.6595, 0.7132)  6 O 1.97-2.10
Fe (0.8297, 0.1703, 0.7132)  6 O 1.97-2.10
Sb (0.3333, 0.6667, 0.4862)  6 O 2.03-2.06
Sb (0.6667, 0.3333, 0.9862)  6 O 2.03-2.06
O (0.1677, 0.8323, 0.5953)  1 Sb 2.03, 1 Li 2.03, 2 Fe 2.10
O (0.0367, 0.5183, 0.3471)  1 Li 2.00, 1 Sb 2.06, 2 Fe 2.09
O (0.3333, 0.6667, 0.1070)  3 Fe 1.99, 1 Li 2.00
O (0.0000, 0.0000, 0.3024)  1 Li 1.82, 3 Fe 1.97
O (0.0000, 0.0000, 0.8024)  1 Li 1.82, 3 Fe 1.97
O (0.1677, 0.3355, 0.5953)  1 Sb 2.03, 1 Li 2.03, 2 Fe 2.10
O (0.4817, 0.9633, 0.3471)  1 Li 2.00, 1 Sb 2.06, 2 Fe 2.09
O (0.4817, 0.5183, 0.3471)  1 Li 2.00, 1 Sb 2.06, 2 Fe 2.09
O (0.3355, 0.1677, 0.0953)  1 Sb 2.03, 1 Li 2.03, 2 Fe 2.10
O (0.6645, 0.8323, 0.5953)  1 Sb 2.03, 1 Li 2.03, 2 Fe 2.10
O (0.5183, 0.4817, 0.8471)  1 Li 2.00, 1 Sb 2.06, 2 Fe 2.09
O (0.5183, 0.0367, 0.8471)  1 Li 2.00, 1 Sb 2.06, 2 Fe 2.09
O (0.6667, 0.3333, 0.6070)  3 Fe 1.99, 1 Li 2.00
O (0.8323, 0.6645, 0.0953)  1 Sb 2.03, 1 Li 2.03, 2 Fe 2.10
O (0.9633, 0.4817, 0.8471)  1 Li 2.00, 1 Sb 2.06, 2 Fe 2.09
O (0.8323, 0.1677, 0.0953)  1 Sb 2.03, 1 Li 2.03, 2 Fe 2.10

Properties
As for the symmetry: P6_3mc (186). The energy above the most stable polymorph in this dataset is 0 meV per atom.



Entry 2:
A relaxed Li4Fe3SbO8 crystal, computed with PBE with a Hubbard U.

Lattice parameters (Å, degrees): 6.0611 6.0611 6.1010 61.02 61.02 60.56
Last column: nearest neighbours and their distance in Å.
Atoms (fractional coordinates):
Li (0.5000, 0.5000, 0.0000)  6 O 2.28-2.33
Li (0.0000, 0.5000, 0.5000)  6 O 2.13-2.24
Li (0.0000, 0.0000, 0.0000)  6 O 2.21-2.32
Li (0.5000, 0.0000, 0.5000)  6 O 2.13-2.24
Fe (0.5000, 0.0000, 0.0000)  6 O 2.10-2.21
Fe (0.5000, 0.5000, 0.5000)  6 O 2.02-2.11
Fe (0.0000, 0.5000, 0.0000)  6 O 2.10-2.21
Sb (0.0000, 0.0000, 0.5000)  6 O 2.00-2.04
O (0.2673, 0.2673, 0.7496)  3 Fe 2.02-2.10, 2 Li 2.24
O (0.7541, 0.2383, 0.2727)  1 Sb 2.04, 2 Fe 2.11-2.21, 3 Li 2.13-2.28
O (0.7691, 0.7691, 0.7283)  1 Sb 2.00, 2 Li 2.15, 2 Fe 2.18
O (0.7327, 0.7327, 0.2504)  3 Fe 2.02-2.10, 2 Li 2.24
O (0.2383, 0.7541, 0.2727)  1 Sb 2.04, 2 Fe 2.11-2.21, 3 Li 2.13-2.28
O (0.2459, 0.7617, 0.7273)  1 Sb 2.04, 2 Fe 2.11-2.21, 3 Li 2.13-2.28
O (0.2309, 0.2309, 0.2717)  1 Sb 2.00, 2 Li 2.15, 2 Fe 2.18
O (0.7617, 0.2459, 0.7273)  1 Sb 2.04, 2 Fe 2.11-2.21, 3 Li 2.13-2.28

Properties
As for the symmetry: C2/m (12).



| no. | spin magnetization (μB/f.u.) | E_form (kJ/mol of atoms) |
| --- | --- | --- |
| 1 | 15.00 | -186.1 |
| 2 | 13.00 | -188.1 |